Entry 1:
{"formula": "FeOF", "functional": "r²SCAN", "state": "optimized geometry", "total_magnetization_mub_per_cell": 20.0, "crystal_system": "tetragonal", "e_tot_ha_per_atom": -0.36136, "sg": "P4_2/m", "cell": [[-0.032, -1.692, -2.544], [6.582, -0.214, 0.059], [-0.211, -5.479, 3.648]], "species": ["Fe", "Fe", "Fe", "Fe", "O", "O", "O", "O", "F", "F", "F", "F"], "fractional_positions": [[0.500, 0.475, 0.007], [0.500, 0.025, 0.493], [0.000, 0.007, 0.025], [0.000, 0.493, 0.475], [0.500, 0.512, 0.299], [0.000, 0.201, 0.512], [0.000, 0.299, 0.988], [0.500, 0.988, 0.201], [0.500, 0.985, 0.806], [0.000, 0.694, 0.985], [0.000, 0.806, 0.515], [0.500, 0.515, 0.694]]}

Entry 2:
{"formula": "TiSi2", "functional": "r²SCAN", "state": "optimized geometry", "total_magnetization_mub_per_cell": 0.0, "crystal_system": "orthorhombic", "e_tot_ha_per_atom": -0.39220, "sg": "Fddd", "cell": [[4.615, -0.001, -1.170], [-2.732, 3.719, -1.170], [0.001, 0.002, 4.887]], "species": ["Ti", "Ti", "Si", "Si", "Si", "Si"], "fractional_positions": [[0.875, 0.125, 0.250], [0.125, 0.875, 0.750], [0.538, 0.462, 0.250], [0.212, 0.788, 0.250], [0.788, 0.212, 0.750], [0.462, 0.538, 0.750]]}

Entry 3:
{"formula": "CeBiPt", "functional": "r²SCAN", "state": "optimized geometry", "total_magnetization_mub_per_cell": 1.0, "crystal_system": "cubic", "e_tot_ha_per_atom": -1.76661, "sg": "F-43m", "cell": [[-4.351, 2.141, 0.274], [-1.155, 3.559, -3.097], [-3.311, -0.777, -3.467]], "species": ["Ce", "Bi", "Pt"], "fractional_positions": [[0.500, 0.500, 0.500], [0.000, 0.000, 0.000], [0.750, 0.750, 0.750]]}

Entry 4:
{"formula": "Ca3WO6", "functional": "r²SCAN", "state": "optimized geometry", "total_magnetization_mub_per_cell": 0.0, "crystal_system": "cubic", "e_tot_ha_per_atom": -0.50205, "sg": "Fm-3m", "cell": [[0.000, 4.097, 4.097], [4.097, 0.000, 4.097], [4.097, 4.097, 0.000]], "species": ["Ca", "Ca", "Ca", "W", "O", "O", "O", "O", "O", "O"], "fractional_positions": [[0.000, 0.000, 0.000], [0.250, 0.250, 0.250], [0.750, 0.750, 0.750], [0.500, 0.500, 0.500], [0.733, 0.267, 0.267], [0.267, 0.733, 0.733], [0.267, 0.733, 0.267], [0.733, 0.267, 0.733], [0.267, 0.267, 0.733], [0.733, 0.733, 0.267]]}

Entry 5:
{"formula": "BH3", "functional": "r²SCAN", "state": "optimized geometry", "total_magnetization_mub_per_cell": 0.0, "crystal_system": "monoclinic", "e_tot_ha_per_atom": -0.16437, "sg": "P2_1/c", "cell": [[4.291, -0.028, 0.000], [-1.488, 5.551, 0.000], [0.000, 0.000, 6.189]], "species": ["B", "B", "B", "B", "H", "H", "H", "H", "H", "H", "H", "H", "H", "H", "H", "H"], "fractional_positions": [[0.502, 0.645, 0.456], [0.998, 0.855, 0.956], [0.498, 0.355, 0.544], [0.002, 0.145, 0.044], [0.285, 0.671, 0.349], [0.215, 0.829, 0.849], [0.715, 0.329, 0.651], [0.785, 0.171, 0.151], [0.723, 0.810, 0.505], [0.777, 0.690, 0.005], [0.277, 0.190, 0.495], [0.223, 0.310, 0.995], [0.617, 0.476, 0.369], [0.883, 0.024, 0.869], [0.383, 0.524, 0.631], [0.117, 0.976, 0.131]]}

Entry 6:
{"formula": "SmB2Rh3", "functional": "r²SCAN", "state": "optimized geometry", "total_magnetization_mub_per_cell": 0.0, "crystal_system": "hexagonal", "e_tot_ha_per_atom": -0.74337, "sg": "P6/mmm", "cell": [[5.411, 0.000, 0.000], [-2.706, 4.686, 0.000], [0.000, 0.000, 3.151]], "species": ["Sm", "B", "B", "Rh", "Rh", "Rh"], "fractional_positions": [[0.000, 0.000, 0.000], [0.333, 0.667, 0.000], [0.667, 0.333, 0.000], [0.500, 0.000, 0.500], [0.500, 0.500, 0.500], [0.000, 0.500, 0.500]]}

Entry 7:
{"formula": "KTiF4", "functional": "r²SCAN", "state": "optimized geometry", "total_magnetization_mub_per_cell": 8.0, "crystal_system": "orthorhombic", "e_above_lowest_polymorph_ev_per_atom": 0.000, "sg": "Pnma", "cell": [[-4.907, 3.832, 4.548], [-5.636, -0.646, -5.537], [-3.602, -10.407, 4.882]], "species": ["K", "K", "K", "K", "K", "K", "K", "K", "Ti", "Ti", "Ti", "Ti", "Ti", "Ti", "Ti", "Ti", "F", "F", "F", "F", "F", "F", "F", "F", "F", "F", "F", "F", "F", "F", "F", "F", "F", "F", "F", "F", "F", "F", "F", "F", "F", "F", "F", "F", "F", "F", "F", "F"], "fractional_positions": [[0.250, 0.878, 0.988], [0.750, 0.122, 0.012], [0.750, 0.378, 0.512], [0.250, 0.622, 0.488], [0.250, 0.376, 0.970], [0.750, 0.624, 0.030], [0.750, 0.876, 0.530], [0.250, 0.124, 0.470], [0.501, 0.627, 0.753], [0.001, 0.373, 0.247], [0.499, 0.127, 0.747], [0.999, 0.873, 0.253], [0.499, 0.373, 0.247], [0.999, 0.627, 0.753], [0.501, 0.873, 0.253], [0.001, 0.127, 0.747], [0.250, 0.823, 0.214], [0.750, 0.177, 0.786], [0.750, 0.323, 0.286], [0.250, 0.677, 0.714], [0.250, 0.422, 0.204], [0.750, 0.578, 0.796], [0.750, 0.922, 0.296], [0.250, 0.078, 0.704], [0.555, 0.877, 0.747], [0.055, 0.123, 0.253], [0.445, 0.377, 0.753], [0.945, 0.623, 0.247], [0.445, 0.123, 0.253], [0.945, 0.877, 0.747], [0.555, 0.623, 0.247], [0.055, 0.377, 0.753], [0.054, 0.115, 0.901], [0.554, 0.885, 0.099], [0.946, 0.615, 0.599], [0.446, 0.385, 0.401], [0.946, 0.885, 0.099], [0.446, 0.115, 0.901], [0.054, 0.385, 0.401], [0.554, 0.615, 0.599], [0.050, 0.638, 0.907], [0.550, 0.362, 0.093], [0.950, 0.138, 0.593], [0.450, 0.862, 0.407], [0.950, 0.362, 0.093], [0.450, 0.638, 0.907], [0.050, 0.862, 0.407], [0.550, 0.138, 0.593]]}

Entry 8:
{"formula": "Dy12Ni6Pb", "functional": "r²SCAN", "state": "optimized geometry", "total_magnetization_mub_per_cell": 1.2, "crystal_system": "cubic", "e_tot_ha_per_atom": -1.00491, "sg": "Im-3", "cell": [[-4.834, 4.834, 4.834], [4.834, -4.834, 4.834], [4.834, 4.834, -4.834]], "species": ["Dy", "Dy", "Dy", "Dy", "Dy", "Dy", "Dy", "Dy", "Dy", "Dy", "Dy", "Dy", "Ni", "Ni", "Ni", "Ni", "Ni", "Ni", "Pb"], "fractional_positions": [[0.812, 0.694, 0.506], [0.188, 0.306, 0.494], [0.188, 0.694, 0.882], [0.812, 0.306, 0.118], [0.694, 0.506, 0.812], [0.306, 0.494, 0.188], [0.694, 0.882, 0.188], [0.306, 0.118, 0.812], [0.506, 0.812, 0.694], [0.494, 0.188, 0.306], [0.118, 0.812, 0.306], [0.882, 0.188, 0.694], [0.877, 0.377, 0.500], [0.123, 0.623, 0.500], [0.377, 0.500, 0.877], [0.623, 0.500, 0.123], [0.500, 0.877, 0.377], [0.500, 0.123, 0.623], [0.000, 0.000, 0.000]]}